(1)
This record from the Materials Project database describes a relaxed Na3YHfSiP2O12 crystal. The functional is PBE-GGA.

Results
The energy above the lowest structure with this stoichiometry is 0.004 eV/atom. The calculated total energy is -7.505 eV per atom. The value obtained for the formation energy is -3.116 eV/atom.

Unit cell a=15.9819 b=9.2532 c=9.2358 alpha=90.00 beta=124.93 gamma=90.00
Last column: nearest neighbours and their distance in Å.
Fractional positions:
O1 0.4497 0.1466 0.4202  1 P 1.53
O2 0.7452 0.1907 0.2540  1 Si 1.65
O3 0.3530 0.9202 0.2523  1 P 1.57
O4 0.8520 0.6351 0.0853  1 P 1.59
O5 0.1550 0.4347 0.2506  1 Si 1.63
O6 0.9497 0.3534 0.9202  1 P 1.53
O7 0.0581 0.0409 0.9257  1 P 1.52
O8 0.5395 0.8300 0.5583  1 Si 1.68
O9 0.0581 0.9591 0.4257  1 P 1.52
O10 0.4497 0.8534 0.9202  1 P 1.53
O11 0.5581 0.4591 0.4257  1 P 1.52
O12 0.2584 0.1391 0.2446  1 P 1.54
O13 0.0683 0.1425 0.2429  1 P 1.54
O14 0.0395 0.3300 0.5583  1 Si 1.68
O15 0.5581 0.5409 0.9257  1 P 1.52
O16 0.4143 0.3588 0.7531  1 P 1.55
O17 0.1468 0.6669 0.4032  1 Si 1.61
O18 0.3520 0.1351 0.0853  1 P 1.59
O19 0.5395 0.1700 0.0583  1 Si 1.68
O20 0.4143 0.6412 0.2531  1 P 1.55
O21 0.6550 0.9347 0.2506  1 Si 1.63
O22 0.5683 0.6425 0.2429  1 P 1.54
O23 0.9366 0.0625 0.5936  1 P 1.57
O24 0.2584 0.8609 0.7446  1 P 1.54
O25 0.3530 0.0798 0.7523  1 P 1.57
O26 0.1550 0.5653 0.7506  1 Si 1.63
O27 0.9497 0.6466 0.4202  1 P 1.53
O28 0.0395 0.6700 0.0583  1 Si 1.68
O29 0.2452 0.3093 0.7540  1 Si 1.65
O30 0.8530 0.4202 0.2523  1 P 1.57
O31 0.1468 0.3331 0.9032  1 Si 1.61
O32 0.0683 0.8575 0.7429  1 P 1.54
O33 0.7584 0.3609 0.7446  1 P 1.54
O34 0.6468 0.1669 0.4032  1 Si 1.61
O35 0.2452 0.6907 0.2540  1 Si 1.65
O36 0.3520 0.8649 0.5853  1 P 1.59
O37 0.9366 0.9375 0.0936  1 P 1.57
O38 0.4366 0.5625 0.5936  1 P 1.57
O39 0.6550 0.0653 0.7506  1 Si 1.63
O40 0.9143 0.8588 0.7531  1 P 1.55
O41 0.9143 0.1412 0.2531  1 P 1.55
O42 0.5683 0.3575 0.7429  1 P 1.54
O43 0.7584 0.6391 0.2446  1 P 1.54
O44 0.8530 0.5798 0.7523  1 P 1.57
O45 0.4366 0.4375 0.0936  1 P 1.57
O46 0.7452 0.8093 0.7540  1 Si 1.65
O47 0.6468 0.8331 0.9032  1 Si 1.61
O48 0.8520 0.3649 0.5853  1 P 1.59
Y1 0.1048 0.2535 0.0633  6 O 2.08-2.29
Y2 0.1048 0.7465 0.5633  6 O 2.08-2.29
Y3 0.6048 0.2465 0.5633  6 O 2.08-2.29
Y4 0.6048 0.7535 0.0633  6 O 2.08-2.29
Na1 0.5092 0.0929 0.7644  4 O 2.42-2.67
Na2 0.7541 0.7825 0.5039  3 O 2.37-2.41
Na3 0.2541 0.7175 0.0039  3 O 2.37-2.41
Na4 0.7541 0.2175 0.0039  3 O 2.37-2.41
Na5 0.2541 0.2825 0.5039  3 O 2.37-2.41
Na6 0.6825 0.5733 0.7974  5 O 2.50-2.77
Na7 0.0092 0.5929 0.7644  4 O 2.42-2.67
Na8 0.1825 0.0733 0.7974  5 O 2.50-2.77
Na9 0.6825 0.4267 0.2974  5 O 2.50-2.77
Na10 0.0092 0.4071 0.2644  4 O 2.42-2.67
Na11 0.1825 0.9267 0.2974  5 O 2.50-2.77
Na12 0.5092 0.9071 0.2644  4 O 2.42-2.67
P1 0.4943 0.5442 0.2545  4 O 1.52-1.57
P2 0.9943 0.0442 0.2545  4 O 1.52-1.57
P3 0.3528 0.9101 0.7518  4 O 1.53-1.59
P4 0.3528 0.0899 0.2518  4 O 1.53-1.59
P5 0.8528 0.5899 0.2518  4 O 1.53-1.59
P6 0.4943 0.4558 0.7545  4 O 1.52-1.57
P7 0.8528 0.4101 0.7518  4 O 1.53-1.59
P8 0.9943 0.9558 0.7545  4 O 1.52-1.57
Hf1 0.3968 0.7431 0.4404  6 O 2.04-2.19
Hf2 0.3968 0.2569 0.9404  6 O 2.04-2.19
Hf3 0.8968 0.7569 0.9404  6 O 2.04-2.19
Hf4 0.8968 0.2431 0.4404  6 O 2.04-2.19
Si1 0.6485 0.8897 0.7405  4 O 1.61-1.68
Si2 0.1485 0.3897 0.7405  4 O 1.61-1.68
Si3 0.1485 0.6103 0.2405  4 O 1.61-1.68
Si4 0.6485 0.1103 0.2405  4 O 1.61-1.68

---

(2)
This record from the Materials Project database describes a relaxed Na4YHfSi2PO12 crystal. The functional is PBE-GGA.

Results
The calculated total energy is -7.335 eV per atom. The value obtained for the formation energy is -3.091 eV/atom.

Unit cell a=9.3496 b=9.3496 c=22.8281 alpha=90.03 beta=89.97 gamma=119.81
Last column: nearest neighbours and their distance in Å.
Fractional positions:
Y1 0.9956 0.9967 0.3492  6 O 2.13-2.33
Y2 0.6622 0.3300 0.6826  6 O 2.13-2.33
Y3 0.0033 0.0044 0.8492  6 O 2.13-2.33
Y4 0.6700 0.3378 0.1826  6 O 2.13-2.33
Y5 0.3366 0.6711 0.5159  6 O 2.13-2.33
Y6 0.3289 0.6634 0.0159  6 O 2.13-2.33
O1 0.2217 0.0248 0.3055  1 P 1.53
O2 0.6794 0.1584 0.7470  1 Si 1.63
O3 0.9660 0.1624 0.5878  1 P 1.56
O4 0.9752 0.7783 0.8055  1 P 1.53
O5 0.2209 0.1913 0.8082  1 Si 1.62
O6 0.8433 0.8184 0.5877  1 Si 1.67
O7 0.1831 0.0299 0.5883  1 Si 1.66
O8 0.5164 0.6966 0.2550  1 Si 1.66
O9 0.5083 0.6539 0.5804  1 Si 1.63
O10 0.8875 0.5246 0.1415  1 Si 1.62
O11 0.6973 0.5371 0.5270  1 Si 1.67
O12 0.7962 0.9693 0.6937  1 Si 1.67
O13 0.3629 0.4887 0.3629  1 P 1.57
O14 0.1353 0.4723 0.5764  1 P 1.54
O15 0.5070 0.8708 0.3600  1 Si 1.68
O16 0.1368 0.6868 0.4763  1 Si 1.61
O17 0.3132 0.8632 0.9763  1 Si 1.61
O18 0.3461 0.4917 0.0804  1 Si 1.63
O19 0.0307 0.2038 0.1937  1 Si 1.67
O20 0.5277 0.8647 0.0764  1 P 1.54
O21 0.8884 0.3581 0.6389  1 P 1.53
O22 0.1816 0.1567 0.0877  1 Si 1.67
O23 0.3640 0.8704 0.8603  1 Si 1.67
O24 0.3034 0.4836 0.7550  1 Si 1.66
O25 0.0005 0.1825 0.9132  1 Si 1.63
O26 0.4702 0.3534 0.1429  1 Si 1.61
O27 0.1767 0.4851 0.2544  1 Si 1.67
O28 0.7959 0.8264 0.1933  1 Si 1.68
O29 0.5149 0.8233 0.7544  1 Si 1.67
O30 0.6368 0.1502 0.4217  1 Si 1.66
O31 0.0296 0.8221 0.6962  1 P 1.57
O32 0.8087 0.7791 0.3082  1 Si 1.62
O33 0.5100 0.1517 0.9211  1 Si 1.67
O34 0.3338 0.8491 0.5798  1 Si 1.63
O35 0.8035 0.0201 0.8096  1 Si 1.61
O36 0.9799 0.1965 0.3096  1 Si 1.61
O37 0.8610 0.5314 0.7430  1 P 1.54
O38 0.1750 0.9873 0.9137  1 Si 1.63
O39 0.8376 0.0340 0.0878  1 P 1.56
O40 0.0127 0.8250 0.4137  1 Si 1.63
O41 0.4842 0.3328 0.7465  1 Si 1.63
O42 0.1420 0.4458 0.9749  1 Si 1.62
O43 0.5542 0.8580 0.4749  1 Si 1.62
O44 0.1736 0.2041 0.6933  1 Si 1.68
O45 0.5113 0.6371 0.8629  1 P 1.57
O46 0.8175 0.9995 0.4132  1 Si 1.63
O47 0.8020 0.8057 0.9097  1 P 1.54
O48 0.5043 0.3673 0.4211  1 P 1.56
O49 0.6327 0.4957 0.9211  1 P 1.56
O50 0.1296 0.6360 0.3603  1 Si 1.67
O51 0.3085 0.4450 0.4722  1 P 1.53
O52 0.1710 0.7007 0.7545  1 P 1.56
O53 0.4686 0.1390 0.2430  1 P 1.54
O54 0.1292 0.4930 0.8600  1 Si 1.68
O55 0.6672 0.5158 0.2465  1 Si 1.63
O56 0.6419 0.1116 0.1389  1 P 1.53
O57 0.8403 0.5374 0.0266  1 Si 1.68
O58 0.6962 0.1554 0.0295  1 P 1.57
O59 0.1509 0.6662 0.0798  1 Si 1.63
O60 0.4754 0.1125 0.6415  1 Si 1.62
O61 0.1943 0.1980 0.4097  1 P 1.54
O62 0.9701 0.8169 0.0883  1 Si 1.66
O63 0.4626 0.1597 0.5266  1 Si 1.68
O64 0.8416 0.3206 0.2470  1 Si 1.63
O65 0.1779 0.9704 0.1962  1 P 1.57
O66 0.8446 0.3038 0.5295  1 P 1.57
O67 0.8498 0.3632 0.9217  1 Si 1.66
O68 0.8483 0.4900 0.4211  1 Si 1.67
O69 0.6466 0.5298 0.6429  1 Si 1.61
O70 0.2993 0.8290 0.2545  1 P 1.56
O71 0.5550 0.6915 0.9722  1 P 1.53
O72 0.4629 0.3027 0.0270  1 Si 1.67
Hf1 0.3323 0.6678 0.3154  6 O 2.04-2.18
Hf2 0.9990 0.0011 0.6487  6 O 2.04-2.18
Hf3 0.9989 0.0010 0.1487  6 O 2.04-2.18
Hf4 0.6656 0.3344 0.9821  6 O 2.04-2.18
Hf5 0.6656 0.3344 0.4821  6 O 2.04-2.18
Hf6 0.3322 0.6677 0.8154  6 O 2.04-2.18
Na1 0.9936 0.9886 0.4985  6 O 2.53-2.79
Na2 0.3217 0.2918 0.9163  5 O 2.47-2.67
Na3 0.3115 0.3397 0.5847  6 O 2.51-2.80
Na4 0.6448 0.0064 0.2514  6 O 2.51-2.80
Na5 0.3448 0.6731 0.6651  6 O 2.53-2.79
Na6 0.6603 0.6885 0.0847  6 O 2.51-2.80
Na7 0.0415 0.3450 0.0829  5 O 2.47-2.67
Na8 0.6603 0.3219 0.8318  6 O 2.53-2.79
Na9 0.9884 0.6252 0.2496  5 O 2.47-2.67
Na10 0.6312 0.6303 0.7448  4 O 2.41-2.67
Na11 0.3748 0.0116 0.7496  5 O 2.47-2.67
Na12 0.3270 0.0219 0.4181  6 O 2.51-2.80
Na13 0.6550 0.9585 0.5829  5 O 2.47-2.67
Na14 0.9936 0.3552 0.7514  6 O 2.51-2.80
Na15 0.0364 0.7021 0.5781  4 O 2.41-2.67
Na16 0.0114 0.0064 0.9985  6 O 2.53-2.79
Na17 0.9781 0.6730 0.9181  6 O 2.51-2.80
Na18 0.2979 0.9636 0.0781  4 O 2.41-2.67
Na19 0.7031 0.0354 0.9114  4 O 2.41-2.67
Na20 0.6781 0.3397 0.3318  6 O 2.53-2.79
Na21 0.9646 0.2969 0.4114  4 O 2.41-2.67
Na22 0.7082 0.6783 0.4163  5 O 2.47-2.67
Na23 0.3697 0.3688 0.2448  4 O 2.41-2.67
Na24 0.3269 0.6552 0.1651  6 O 2.53-2.79
P1 0.2924 0.9925 0.2498  4 O 1.53-1.57
P2 0.6742 0.0409 0.0831  4 O 1.53-1.57
P3 0.3409 0.3743 0.4165  4 O 1.53-1.57
P4 0.6257 0.6591 0.9165  4 O 1.53-1.57
P5 0.9591 0.3258 0.5831  4 O 1.53-1.57
P6 0.0075 0.7076 0.7498  4 O 1.53-1.57
Si1 0.6972 0.7031 0.2502  4 O 1.62-1.68
Si2 0.3638 0.0364 0.5836  4 O 1.62-1.68
Si3 0.2969 0.3028 0.7502  4 O 1.62-1.68
Si4 0.0305 0.3697 0.9169  4 O 1.62-1.68
Si5 0.3391 0.9684 0.9175  4 O 1.61-1.67
Si6 0.6303 0.9695 0.4169  4 O 1.62-1.68
Si7 0.0316 0.6609 0.4175  4 O 1.61-1.67
Si8 0.9636 0.6362 0.0836  4 O 1.62-1.68
Si9 0.3649 0.3276 0.0841  4 O 1.61-1.67
Si10 0.0058 0.3018 0.2508  4 O 1.61-1.67
Si11 0.6724 0.6351 0.5841  4 O 1.61-1.67
Si12 0.6982 0.9942 0.7508  4 O 1.61-1.67

---

(3)
This record from the Materials Project database describes a relaxed Na3YHfSiP2O12 crystal. The functional is PBE-GGA.

Results
The energy above the lowest structure with this stoichiometry is 0.000 eV/atom. The space-group type is Cc (9). The calculated total energy is -7.508 eV per atom. The value obtained for the formation energy is -3.120 eV/atom.

Unit cell a=9.2559 b=9.2559 c=22.7072 alpha=90.02 beta=90.02 gamma=60.22
Last column: nearest neighbours and their distance in Å.
Fractional positions:
Na1 0.0043 0.9957 0.5000  6 O 2.45-2.73
Na2 0.0108 0.6452 0.2462  3 O 2.34-2.54
Na3 0.0256 0.6890 0.9213  3 O 2.43-2.46
Na4 0.0274 0.3179 0.4097  3 O 2.39-2.45
Na5 0.3179 0.0274 0.9097  3 O 2.39-2.45
Na6 0.3244 0.3417 0.3339  4 O 2.42-2.64
Na7 0.3417 0.3244 0.8339  4 O 2.42-2.64
Na8 0.3589 0.9770 0.5872  4 O 2.41-2.58
Na9 0.3641 0.6484 0.7474  4 O 2.41-2.53
Na10 0.6452 0.0108 0.7462  3 O 2.34-2.54
Na11 0.6484 0.3641 0.2474  4 O 2.41-2.53
Na12 0.6560 0.6850 0.1666  6 O 2.51-2.68
Na13 0.6850 0.6560 0.6666  6 O 2.51-2.68
Na14 0.6890 0.0256 0.4213  3 O 2.43-2.46
Na15 0.7077 0.9655 0.0779  4 O 2.39-2.55
Na16 0.9655 0.7077 0.5779  4 O 2.39-2.55
Na17 0.9770 0.3589 0.0872  4 O 2.41-2.58
Na18 0.9957 0.0043 0.0000  6 O 2.45-2.73
Y1 0.0234 0.9974 0.3521  6 O 2.16-2.33
Y2 0.3350 0.3374 0.1861  6 O 2.13-2.31
Y3 0.3374 0.3350 0.6861  6 O 2.13-2.31
Y4 0.6701 0.6707 0.0186  6 O 2.14-2.29
Y5 0.6707 0.6701 0.5186  6 O 2.14-2.29
Y6 0.9974 0.0234 0.8521  6 O 2.16-2.33
Hf1 0.0022 0.0168 0.6497  6 O 2.05-2.20
Hf2 0.0168 0.0022 0.1497  6 O 2.05-2.20
Hf3 0.3444 0.3461 0.9831  6 O 2.03-2.20
Hf4 0.3461 0.3444 0.4831  6 O 2.03-2.20
Hf5 0.6742 0.6751 0.8165  6 O 2.01-2.17
Hf6 0.6751 0.6742 0.3165  6 O 2.01-2.17
Si1 0.0428 0.6459 0.0852  4 O 1.62-1.67
Si2 0.3144 0.9982 0.7537  4 O 1.61-1.68
Si3 0.6459 0.0428 0.5852  4 O 1.62-1.67
Si4 0.6663 0.9784 0.9204  4 O 1.62-1.69
Si5 0.9784 0.6663 0.4204  4 O 1.62-1.69
Si6 0.9982 0.3144 0.2537  4 O 1.61-1.68
P1 0.0495 0.3301 0.5814  4 O 1.52-1.58
P2 0.3136 0.7115 0.2495  4 O 1.53-1.57
P3 0.3278 0.6450 0.5887  4 O 1.52-1.58
P4 0.3301 0.0495 0.0814  4 O 1.52-1.58
P5 0.3787 0.6642 0.9142  4 O 1.52-1.57
P6 0.3816 0.9796 0.4209  4 O 1.53-1.57
P7 0.6450 0.3278 0.0887  4 O 1.52-1.58
P8 0.6642 0.3787 0.4142  4 O 1.52-1.57
P9 0.7115 0.3136 0.7495  4 O 1.53-1.57
P10 0.7184 0.9986 0.2525  4 O 1.53-1.58
P11 0.9796 0.3816 0.9209  4 O 1.53-1.57
P12 0.9986 0.7184 0.7525  4 O 1.53-1.58
O1 0.0081 0.2195 0.3143  1 Si 1.61
O2 0.0157 0.7994 0.8088  1 P 1.53
O3 0.0212 0.1996 0.9154  1 P 1.54
O4 0.0228 0.8336 0.0883  1 Si 1.65
O5 0.0527 0.1598 0.5877  1 P 1.57
O6 0.1252 0.5376 0.1440  1 Si 1.62
O7 0.1278 0.3627 0.6352  1 P 1.52
O8 0.1483 0.3842 0.9201  1 P 1.57
O9 0.1509 0.3544 0.2519  1 Si 1.63
O10 0.1546 0.5480 0.7464  1 P 1.53
O11 0.1586 0.4900 0.4226  1 Si 1.66
O12 0.1588 0.5422 0.0270  1 Si 1.67
O13 0.1598 0.0527 0.0877  1 P 1.57
O14 0.1602 0.8163 0.5883  1 P 1.57
O15 0.1613 0.3097 0.5263  1 P 1.58
O16 0.1996 0.0212 0.4154  1 P 1.54
O17 0.2004 0.8144 0.9110  1 P 1.54
O18 0.2032 0.7820 0.3038  1 P 1.53
O19 0.2073 0.9838 0.6963  1 Si 1.68
O20 0.2153 0.8225 0.1954  1 P 1.57
O21 0.2195 0.0081 0.8143  1 Si 1.61
O22 0.3097 0.1613 0.0263  1 P 1.58
O23 0.3138 0.5402 0.5365  1 P 1.58
O24 0.3446 0.5564 0.6468  1 P 1.52
O25 0.3499 0.5310 0.2435  1 P 1.54
O26 0.3544 0.1509 0.7519  1 Si 1.63
O27 0.3627 0.1278 0.1352  1 P 1.52
O28 0.3657 0.5029 0.9204  1 P 1.56
O29 0.3842 0.1483 0.4201  1 P 1.57
O30 0.4506 0.8903 0.4798  1 P 1.53
O31 0.4627 0.6898 0.9675  1 P 1.52
O32 0.4723 0.6804 0.5817  1 P 1.54
O33 0.4754 0.8714 0.0770  1 P 1.53
O34 0.4813 0.7103 0.2548  1 P 1.55
O35 0.4856 0.6456 0.8579  1 P 1.57
O36 0.4900 0.1586 0.9226  1 Si 1.66
O37 0.4969 0.8717 0.3693  1 P 1.57
O38 0.4980 0.8193 0.7537  1 Si 1.68
O39 0.5029 0.3657 0.4204  1 P 1.56
O40 0.5310 0.3499 0.7435  1 P 1.54
O41 0.5376 0.1252 0.6440  1 Si 1.62
O42 0.5402 0.3138 0.0365  1 P 1.58
O43 0.5422 0.1588 0.5270  1 Si 1.67
O44 0.5480 0.1546 0.2464  1 P 1.53
O45 0.5564 0.3446 0.1468  1 P 1.52
O46 0.6456 0.4856 0.3579  1 P 1.57
O47 0.6467 0.8707 0.8637  1 Si 1.69
O48 0.6689 0.8545 0.5834  1 Si 1.65
O49 0.6804 0.4723 0.0817  1 P 1.54
O50 0.6864 0.8726 0.9797  1 Si 1.62
O51 0.6898 0.4627 0.4675  1 P 1.52
O52 0.7055 0.8364 0.2555  1 P 1.57
O53 0.7103 0.4813 0.7548  1 P 1.55
O54 0.7820 0.2032 0.8038  1 P 1.53
O55 0.7994 0.0157 0.3088  1 P 1.53
O56 0.8144 0.2004 0.4110  1 P 1.54
O57 0.8163 0.1602 0.0883  1 P 1.57
O58 0.8193 0.4980 0.2537  1 Si 1.68
O59 0.8225 0.2153 0.6954  1 P 1.57
O60 0.8336 0.0228 0.5883  1 Si 1.65
O61 0.8346 0.9913 0.9163  1 Si 1.62
O62 0.8364 0.7055 0.7555  1 P 1.57
O63 0.8375 0.9735 0.1987  1 P 1.58
O64 0.8545 0.6689 0.0834  1 Si 1.65
O65 0.8714 0.4754 0.5770  1 P 1.53
O66 0.8707 0.6467 0.3637  1 Si 1.69
O67 0.8717 0.4969 0.8693  1 P 1.57
O68 0.8726 0.6864 0.4797  1 Si 1.62
O69 0.8903 0.4506 0.9798  1 P 1.53
O70 0.9735 0.8375 0.6987  1 P 1.58
O71 0.9838 0.2073 0.1963  1 Si 1.68
O72 0.9913 0.8346 0.4163  1 Si 1.62